Entry from Materials Project: a relaxed Sc3Sn crystal (PBE).

Cell lengths 6.399, 6.399, 5.175 Å; angles 90.00, 90.00, 120.00 degrees
Element x y z (fractional)
Sc (0.168, 0.337, 0.250)
Sc (0.168, 0.832, 0.250)
Sc (0.337, 0.168, 0.750)
Sc (0.663, 0.832, 0.250)
Sc (0.832, 0.168, 0.750)
Sc (0.832, 0.663, 0.750)
Sn (0.333, 0.667, 0.750)
Sn (0.667, 0.333, 0.250)

Computed properties:
Symmetry ... P6_3/mmc, No. 194
Calculated formation energy ... -451 meV/atom
DFT total energy ... -6.20 eV per atom

Entry from Materials Project: a relaxed Sc5Sn3 crystal (PBE).

Cell lengths 8.458, 8.458, 6.101 Å; angles 90.00, 90.00, 120.00 degrees
Element x y z (fractional)
Sc (0.000, 0.236, 0.250)
Sc (0.000, 0.764, 0.750)
Sc (0.236, 0.000, 0.250)
Sc (0.236, 0.236, 0.750)
Sc (0.333, 0.667, 0.000)
Sc (0.333, 0.667, 0.500)
Sc (0.667, 0.333, 0.000)
Sc (0.667, 0.333, 0.500)
Sc (0.764, 0.000, 0.750)
Sc (0.764, 0.764, 0.250)
Sn (0.000, 0.395, 0.750)
Sn (0.000, 0.605, 0.250)
Sn (0.395, 0.000, 0.750)
Sn (0.395, 0.395, 0.250)
Sn (0.605, 0.000, 0.250)
Sn (0.605, 0.605, 0.750)

Computed properties:
Symmetry ... P6_3/mcm, No. 193
Calculated formation energy ... -684 meV/atom
DFT total energy ... -6.15 eV per atom

Entry from Materials Project: a relaxed Sc6Sn5 crystal (PBE).

Cell lengths 10.996, 10.996, 10.996 Å; angles 132.47, 58.61, 147.74 degrees
Element x y z (fractional)
Sc (0.059, 0.250, 0.809)
Sc (0.065, 0.244, 0.308)
Sc (0.141, 0.616, 0.757)
Sc (0.359, 0.116, 0.475)
Sc (0.435, 0.744, 0.179)
Sc (0.441, 0.250, 0.191)
Sc (0.559, 0.750, 0.809)
Sc (0.565, 0.256, 0.821)
Sc (0.641, 0.884, 0.525)
Sc (0.859, 0.384, 0.243)
Sc (0.935, 0.756, 0.692)
Sc (0.941, 0.750, 0.191)
Sn (0.069, 0.904, 0.973)
Sn (0.211, 0.303, 0.513)
Sn (0.250, 0.750, 0.500)
Sn (0.289, 0.803, 0.092)
Sn (0.431, 0.404, 0.835)
Sn (0.569, 0.596, 0.165)
Sn (0.711, 0.197, 0.908)
Sn (0.750, 0.250, 0.500)
Sn (0.789, 0.697, 0.487)
Sn (0.931, 0.096, 0.027)

Computed properties:
Symmetry ... Ibam, No. 72
Calculated formation energy ... -666 meV/atom
DFT total energy ... -5.94 eV per atom

Entry from Materials Project: a relaxed ScTaTc2 crystal (PBE).

Cell lengths 4.538, 4.538, 4.538 Å; angles 60.00, 60.00, 60.00 degrees
Element x y z (fractional)
Sc (0.000, 0.000, 0.000)
Ta (0.500, 0.500, 0.500)
Tc (0.250, 0.250, 0.250)
Tc (0.750, 0.750, 0.750)

Computed properties:
Symmetry ... Fm-3m, No. 225
Calculated formation energy ... -325 meV/atom
DFT total energy ... -10.05 eV per atom

Entry from Materials Project: a relaxed TbSc crystal (PBE).

Cell lengths 3.496, 3.496, 5.404 Å; angles 90.00, 90.00, 120.00 degrees
Element x y z (fractional)
Tb (0.000, 0.000, 0.000)
Sc (0.333, 0.667, 0.500)

Computed properties:
Symmetry ... P-6m2, No. 187
Calculated formation energy ... 55 meV/atom
DFT total energy ... -5.43 eV per atom

Entry from Materials Project: a relaxed ScTc3 crystal (PBE).

Cell lengths 4.446, 4.446, 4.446 Å; angles 60.00, 60.00, 60.00 degrees
Element x y z (fractional)
Sc (0.000, 0.000, 0.000)
Tc (0.250, 0.250, 0.250)
Tc (0.500, 0.500, 0.500)
Tc (0.750, 0.750, 0.750)

Computed properties:
Symmetry ... Fm-3m, No. 225
Calculated formation energy ... -113 meV/atom
DFT total energy ... -9.47 eV per atom

Entry from Materials Project: a relaxed ScTc2 crystal (PBE).

Cell lengths 5.236, 5.236, 8.635 Å; angles 90.00, 90.00, 120.00 degrees
Element x y z (fractional)
Sc (0.333, 0.667, 0.062)
Sc (0.333, 0.667, 0.438)
Sc (0.667, 0.333, 0.562)
Sc (0.667, 0.333, 0.938)
Tc (0.000, 0.000, 0.000)
Tc (0.000, 0.000, 0.500)
Tc (0.172, 0.344, 0.750)
Tc (0.172, 0.828, 0.750)
Tc (0.344, 0.172, 0.250)
Tc (0.656, 0.828, 0.750)
Tc (0.828, 0.172, 0.250)
Tc (0.828, 0.656, 0.250)

Computed properties:
Symmetry ... P6_3/mmc, No. 194
Calculated formation energy ... -305 meV/atom
DFT total energy ... -9.32 eV per atom

Entry from Materials Project: a relaxed ThScTc2 crystal (PBE).

Cell lengths 4.784, 4.784, 4.784 Å; angles 60.00, 60.00, 60.00 degrees
Element x y z (fractional)
Th (0.000, 0.000, 0.000)
Sc (0.500, 0.500, 0.500)
Tc (0.250, 0.250, 0.250)
Tc (0.750, 0.750, 0.750)

Computed properties:
Symmetry ... Fm-3m, No. 225
Calculated formation energy ... -198 meV/atom
DFT total energy ... -8.81 eV per atom

Q: Among the records above, which one has the highest calculated formation energy?
A: TbSc